Entry 1:
! Te2MoW3Se2S4 GGA-PBE relaxed; values from VASP
! - DFT formation energy (meV per atom) = -694
! - total magnetization (Bohr magnetons per cell) = 0.00
! - calculated density (g/cm3) = 5.544
! - offset from the most stable computed form (kJ/mol of atoms) = 3.7
! - electronic total energy (eV/atom) = -7.155
&SYSTEM
  ibrav = 0, nat = 12, ntyp = 5
/
ATOMIC_SPECIES
Te 127.60 Te.upf
Mo 95.94 Mo.upf
W 183.84 W.upf
Se 78.96 Se.upf
S 32.06 S.upf
CELL_PARAMETERS angstrom
3.309 0.000 0.000
-1.654 2.866 0.000
0.000 0.000 37.554
ATOMIC_POSITIONS angstrom
Te 0.000 0.000 0.000
Te 0.000 0.000 3.850
Mo 0.000 0.000 32.422
W 0.000 0.000 18.312
W 0.000 1.910 1.926
W 0.000 1.910 25.368
Se 0.000 0.000 23.679
Se 0.000 0.000 27.057
S 0.000 1.910 16.777
S 0.000 1.910 19.846
S 0.000 1.910 30.894
S 0.000 1.910 33.950

Entry 2:
! TeMoWSe2S GGA-PBE relaxed; values from VASP
! - DFT formation energy (meV per atom) = -603
! - total magnetization (Bohr magnetons per cell) = 0.00
! - calculated density (g/cm3) = 5.389
! - offset from the most stable computed form (kJ/mol of atoms) = 2.1
! - electronic total energy (eV/atom) = -6.865
&SYSTEM
  ibrav = 0, nat = 12, ntyp = 5
/
ATOMIC_SPECIES
Te 127.60 Te.upf
Mo 95.94 Mo.upf
W 183.84 W.upf
Se 78.96 Se.upf
S 32.06 S.upf
CELL_PARAMETERS angstrom
3.343 0.000 0.000
-1.671 2.895 0.000
0.000 0.000 38.043
ATOMIC_POSITIONS angstrom
Te 0.000 0.000 0.000
Te 0.000 0.000 3.812
Mo 0.000 0.000 18.506
Mo 0.000 1.930 25.655
W 0.000 0.000 32.801
W 0.000 1.930 1.907
Se 0.000 0.000 23.989
Se 0.000 0.000 27.319
Se 0.000 1.930 16.842
Se 0.000 1.930 20.172
S 0.000 1.930 31.279
S 0.000 1.930 34.323

Entry 3:
! TeMoWSe2S GGA-PBE relaxed; values from VASP
! - DFT formation energy (meV per atom) = -587
! - total magnetization (Bohr magnetons per cell) = 0.00
! - calculated density (g/cm3) = 5.368
! - offset from the most stable computed form (kJ/mol of atoms) = 3.6
! - electronic total energy (eV/atom) = -6.849
&SYSTEM
  ibrav = 0, nat = 12, ntyp = 5
/
ATOMIC_SPECIES
Te 127.60 Te.upf
Mo 95.94 Mo.upf
W 183.84 W.upf
Se 78.96 Se.upf
S 32.06 S.upf
CELL_PARAMETERS angstrom
3.346 0.000 0.000
-1.673 2.897 0.000
0.000 0.000 38.125
ATOMIC_POSITIONS angstrom
Te 0.000 0.000 0.000
Te 0.000 0.000 3.816
Mo 0.000 0.000 18.544
Mo 0.000 1.932 25.706
W 0.000 0.000 32.867
W 0.000 1.932 1.909
Se 0.000 1.932 16.876
Se 0.000 1.932 20.211
Se 0.000 1.932 31.192
Se 0.000 1.932 34.543
S 0.000 0.000 24.189
S 0.000 0.000 27.224

Entry 4:
! TeMoWSe2S GGA-PBE relaxed; values from VASP
! - DFT formation energy (meV per atom) = -586
! - total magnetization (Bohr magnetons per cell) = 0.00
! - calculated density (g/cm3) = 5.370
! - offset from the most stable computed form (kJ/mol of atoms) = 3.6
! - electronic total energy (eV/atom) = -6.848
&SYSTEM
  ibrav = 0, nat = 12, ntyp = 5
/
ATOMIC_SPECIES
Te 127.60 Te.upf
Mo 95.94 Mo.upf
W 183.84 W.upf
Se 78.96 Se.upf
S 32.06 S.upf
CELL_PARAMETERS angstrom
3.346 0.000 0.000
-1.673 2.897 0.000
0.000 0.000 38.111
ATOMIC_POSITIONS angstrom
Te 0.000 0.000 0.000
Te 0.000 0.000 3.816
Mo 0.000 0.000 32.861
Mo 1.673 0.966 25.701
W 0.000 0.000 9.072
W 1.673 0.966 1.908
Se 0.000 0.000 24.034
Se 0.000 0.000 27.369
Se 1.673 0.966 7.396
Se 1.673 0.966 10.747
S 1.673 0.966 31.344
S 1.673 0.966 34.377

Entry 5:
! Te2MoWSeS GGA-PBE relaxed; values from VASP
! - DFT formation energy (meV per atom) = -471
! - total magnetization (Bohr magnetons per cell) = 0.00
! - calculated density (g/cm3) = 5.534
! - offset from the most stable computed form (kJ/mol of atoms) = 3.5
! - electronic total energy (eV/atom) = -6.674
&SYSTEM
  ibrav = 0, nat = 12, ntyp = 5
/
ATOMIC_SPECIES
Te 127.60 Te.upf
Mo 95.94 Mo.upf
W 183.84 W.upf
Se 78.96 Se.upf
S 32.06 S.upf
CELL_PARAMETERS angstrom
3.399 0.000 0.000
-1.700 2.944 0.000
0.000 0.000 38.746
ATOMIC_POSITIONS angstrom
Te 0.000 0.000 0.000
Te 0.000 0.000 3.743
Te 0.000 0.000 14.549
Te 0.000 0.000 18.315
Mo 0.000 0.000 33.343
Mo 0.000 1.962 1.874
W 0.000 0.000 9.151
W 0.000 1.962 16.432
Se 0.000 1.962 7.497
Se 0.000 1.962 10.807
S 0.000 1.962 31.838
S 0.000 1.962 34.844

Entry 6:
! Te2Mo3WSe2S4 GGA-PBE relaxed; values from VASP
! - DFT formation energy (meV per atom) = -757
! - total magnetization (Bohr magnetons per cell) = 0.00
! - calculated density (g/cm3) = 4.498
! - offset from the most stable computed form (kJ/mol of atoms) = 1.6
! - electronic total energy (eV/atom) = -6.866
&SYSTEM
  ibrav = 0, nat = 12, ntyp = 5
/
ATOMIC_SPECIES
Te 127.60 Te.upf
Mo 95.94 Mo.upf
W 183.84 W.upf
Se 78.96 Se.upf
S 32.06 S.upf
CELL_PARAMETERS angstrom
3.309 0.000 0.000
-1.655 2.866 0.000
0.000 0.000 39.439
ATOMIC_POSITIONS angstrom
Te 0.000 0.000 0.000
Te 0.000 0.000 3.828
Mo 0.000 0.000 33.972
Mo 1.655 0.955 1.913
Mo 1.655 0.955 26.578
W 0.000 0.000 9.429
Se 1.655 0.955 7.741
Se 1.655 0.955 11.115
S 0.000 0.000 25.051
S 0.000 0.000 28.107
S 1.655 0.955 32.447
S 1.655 0.955 35.501

Entry 7:
! TeMoWSe2S GGA-PBE relaxed; values from VASP
! - DFT formation energy (meV per atom) = -607
! - total magnetization (Bohr magnetons per cell) = 0.00
! - calculated density (g/cm3) = 5.379
! - offset from the most stable computed form (kJ/mol of atoms) = 1.6
! - electronic total energy (eV/atom) = -6.869
&SYSTEM
  ibrav = 0, nat = 12, ntyp = 5
/
ATOMIC_SPECIES
Te 127.60 Te.upf
Mo 95.94 Mo.upf
W 183.84 W.upf
Se 78.96 Se.upf
S 32.06 S.upf
CELL_PARAMETERS angstrom
3.344 0.000 0.000
-1.672 2.896 0.000
0.000 0.000 38.096
ATOMIC_POSITIONS angstrom
Te 0.000 0.000 0.000
Te 0.000 0.000 3.793
Mo 0.000 0.000 18.519
Mo 0.000 1.930 1.897
W 0.000 0.000 32.832
W 0.000 1.930 25.676
Se 0.000 0.000 23.999
Se 0.000 0.000 27.353
Se 0.000 1.930 31.156
Se 0.000 1.930 34.509
S 0.000 1.930 17.003
S 0.000 1.930 20.035

Entry 8:
! Te2MoW3Se2S4 GGA-PBE relaxed; values from VASP
! - DFT formation energy (meV per atom) = -694
! - total magnetization (Bohr magnetons per cell) = 0.00
! - calculated density (g/cm3) = 5.248
! - offset from the most stable computed form (kJ/mol of atoms) = 3.6
! - electronic total energy (eV/atom) = -7.155
&SYSTEM
  ibrav = 0, nat = 12, ntyp = 5
/
ATOMIC_SPECIES
Te 127.60 Te.upf
Mo 95.94 Mo.upf
W 183.84 W.upf
Se 78.96 Se.upf
S 32.06 S.upf
CELL_PARAMETERS angstrom
3.308 0.000 0.000
-1.654 2.865 0.000
0.000 0.000 39.697
ATOMIC_POSITIONS angstrom
Te 0.000 0.000 0.000
Te 0.000 0.000 3.848
Mo 1.654 0.955 26.735
W 0.000 0.000 9.486
W 0.000 0.000 34.164
W 1.654 0.955 1.923
Se 1.654 0.955 7.801
Se 1.654 0.955 11.173
S 0.000 0.000 25.208
S 0.000 0.000 28.262
S 1.654 0.955 32.632
S 1.654 0.955 35.696

Entry 9:
! Te2Mo3WSe2S4 GGA-PBE relaxed; values from VASP
! - DFT formation energy (meV per atom) = -736
! - total magnetization (Bohr magnetons per cell) = 0.00
! - calculated density (g/cm3) = 4.711
! - offset from the most stable computed form (kJ/mol of atoms) = 3.7
! - electronic total energy (eV/atom) = -6.844
&SYSTEM
  ibrav = 0, nat = 12, ntyp = 5
/
ATOMIC_SPECIES
Te 127.60 Te.upf
Mo 95.94 Mo.upf
W 183.84 W.upf
Se 78.96 Se.upf
S 32.06 S.upf
CELL_PARAMETERS angstrom
3.311 0.000 0.000
-1.655 2.867 0.000
0.000 0.000 37.616
ATOMIC_POSITIONS angstrom
Te 0.000 0.000 0.000
Te 0.000 0.000 3.849
Mo 0.000 0.000 18.339
Mo 0.000 0.000 32.472
Mo 0.000 1.911 25.407
W 0.000 1.911 1.926
Se 0.000 1.911 16.660
Se 0.000 1.911 20.019
S 0.000 0.000 23.880
S 0.000 0.000 26.933
S 0.000 1.911 30.945
S 0.000 1.911 34.000

Entry 10:
! Te2MoW3Se2S4 GGA-PBE relaxed; values from VASP
! - DFT formation energy (meV per atom) = -709
! - total magnetization (Bohr magnetons per cell) = 0.01
! - calculated density (g/cm3) = 5.532
! - offset from the most stable computed form (kJ/mol of atoms) = 2.2
! - electronic total energy (eV/atom) = -7.170
&SYSTEM
  ibrav = 0, nat = 12, ntyp = 5
/
ATOMIC_SPECIES
Te 127.60 Te.upf
Mo 95.94 Mo.upf
W 183.84 W.upf
Se 78.96 Se.upf
S 32.06 S.upf
CELL_PARAMETERS angstrom
3.307 0.000 0.000
-1.653 2.864 0.000
0.000 0.000 37.690
ATOMIC_POSITIONS angstrom
Te 0.000 0.000 0.000
Te 0.000 0.000 3.846
Mo 1.653 0.955 25.451
W 0.000 0.000 9.005
W 0.000 0.000 32.531
W 1.653 0.955 1.922
Se 0.000 0.000 23.771
Se 0.000 0.000 27.132
S 1.653 0.955 7.471
S 1.653 0.955 10.539
S 1.653 0.955 30.998
S 1.653 0.955 34.065